This record from the Materials Project database describes a relaxed structure of NpZn. The functional is PBE-GGA.

Computed properties:
volume: 34.1 Å³/f.u.
calculated total energy: -6.927 eV per atom
formation energy: 0.1767 eV/atom
SG: P-6m2 (187)

```
2
Lattice="-2.552 -0.816 -0.261 1.760 -1.502 1.376 -1.312 2.643 4.559" Properties=species:S:1:pos:R:3 pbc="T T T"
Np -2.098 0.938 3.704
Zn -0.005 -0.612 1.970
```

---

This record from the Materials Project database describes a relaxed structure of Dy12Ni6Pb. The functional is PBE-GGA.

Computed properties:
volume: 454.9 Å³/f.u.
calculated total energy: -5.306 eV per atom
formation energy: -0.3761 eV/atom
SG: Im-3 (204)

```
19
Lattice="-4.845 4.845 4.845 4.845 -4.845 4.845 4.845 4.845 -4.845" Properties=species:S:1:pos:R:3 pbc="T T T"
Dy 1.891 3.024 4.845
Dy 2.954 1.821 0.000
Dy 6.736 1.821 0.000
Dy -1.891 3.024 4.845
Dy 3.024 4.845 1.891
Dy 1.821 0.000 2.954
Dy 1.821 0.000 6.736
Dy 3.024 4.845 -1.891
Dy 4.845 1.891 3.024
Dy 0.000 2.954 1.821
Dy 4.845 -1.891 3.024
Dy 0.000 6.736 1.821
Ni 0.000 4.845 3.642
Ni 4.845 0.000 1.203
Ni 4.845 3.642 0.000
Ni 0.000 1.203 4.845
Ni 3.642 0.000 4.845
Ni 1.203 4.845 0.000
Pb 0.000 0.000 0.000
```

---

This record from the Materials Project database describes a relaxed structure of NaHf4P5SO24. The functional is PBE-GGA.

Computed properties:
volume: 523.1 Å³/f.u.
calculated total energy: -8.141 eV per atom
formation energy: -3.1521 eV/atom
SG: P1 (1)

```
105
Lattice="8.866 -0.003 0.006 -4.436 7.684 -0.002 0.014 0.002 23.040" Properties=species:S:1:pos:R:3 pbc="T T T"
Na 4.455 2.588 19.225
Na 4.438 2.563 7.640
Na -0.001 5.126 3.853
Hf 0.010 0.001 8.179
Hf 4.386 7.681 19.716
Hf -4.374 7.682 14.911
Hf 8.862 -0.002 3.328
Hf 4.429 2.505 15.876
Hf 4.436 2.555 4.310
Hf 4.472 2.607 22.643
Hf 4.394 2.516 10.988
Hf 0.045 5.073 0.501
Hf -0.020 5.167 11.947
Hf 0.001 5.117 7.195
Hf 0.025 5.065 18.661
P 2.557 0.000 5.758
P 3.161 5.467 5.761
P 7.589 2.208 5.764
P 1.284 2.200 17.293
P 5.721 5.462 17.298
P 1.888 7.670 17.275
P 3.159 0.332 13.440
P 5.725 4.798 1.941
P 5.717 0.332 1.924
P 1.875 2.543 1.928
P 2.571 5.107 21.112
P -1.277 2.908 21.113
P 1.300 7.333 9.591
P 1.262 2.905 9.606
P -2.569 5.124 9.594
S 7.008 2.558 13.442
S 3.154 4.784 13.443
S -1.271 7.344 21.113
O 1.697 0.222 7.015
O 3.781 6.104 7.018
O 7.830 1.352 7.021
O 1.070 1.324 18.531
O 5.071 6.112 18.530
O 7.197 0.249 18.522
O 2.761 7.475 16.023
O 0.662 1.567 16.031
O -3.407 6.329 16.031
O 3.394 6.328 4.513
O -0.648 1.580 4.510
O -2.742 7.458 4.508
O 6.159 2.785 14.641
O 3.800 1.017 14.673
O 3.401 3.943 14.640
O 5.491 3.892 3.165
O 5.061 0.982 3.162
O 2.757 2.808 3.164
O 2.748 2.347 0.669
O 5.095 4.139 0.684
O 5.450 1.203 0.671
O 3.422 1.237 12.218
O 3.779 4.165 12.251
O 6.156 2.346 12.252
O 1.691 5.343 22.354
O -0.654 3.571 22.354
O -1.043 6.524 22.317
O 1.031 6.477 10.854
O 0.669 3.570 10.867
O -1.680 5.325 10.852
O -1.679 4.869 8.365
O 0.620 6.706 8.364
O 1.060 3.795 8.366
O -1.033 3.796 19.872
O -0.658 6.736 19.912
O 1.676 4.901 19.872
O -3.447 6.351 9.401
O 2.796 7.499 9.406
O 0.670 1.519 9.404
O -0.638 1.529 20.895
O -2.725 7.491 20.922
O 3.464 6.340 20.901
O 7.849 1.363 13.644
O 1.646 0.193 13.664
O 3.754 6.118 13.640
O 5.091 6.165 2.130
O 7.217 0.184 2.130
O 0.983 1.331 2.126
O 5.429 1.252 17.097
O 2.816 2.382 17.089
O 5.090 4.059 17.069
O 3.782 4.054 5.599
O 6.055 2.378 5.602
O 3.468 1.246 5.599
O 3.470 3.855 21.281
O 6.055 2.731 21.282
O 3.771 1.013 21.273
O 5.095 1.056 9.803
O 2.808 2.764 9.796
O 5.411 3.866 9.829
O 0.981 3.805 1.752
O -1.616 4.944 1.721
O 0.632 6.621 1.726
O -0.647 6.633 13.226
O 1.699 4.918 13.253
O -1.003 3.747 13.252
O -0.968 6.437 5.933
O 1.625 5.304 5.935
O -0.651 3.624 5.932
O 0.675 3.593 17.473
O -1.637 5.320 17.500
O 0.979 6.466 17.509
```

---

This record from the Materials Project database describes a relaxed structure of CsTmH3. The functional is PBE-GGA.

Computed properties:
volume: 88.2 Å³/f.u.
calculated total energy: -3.272 eV per atom
formation energy: -0.2693 eV/atom
SG: Pm-3m (221)

```
5
Lattice="-2.214 0.702 3.798 -3.810 -1.114 -2.015 0.633 -4.253 1.155" Properties=species:S:1:pos:R:3 pbc="T T T"
Cs -2.696 -2.332 1.469
Tm 0.000 0.000 0.000
H -1.107 0.351 1.899
H -1.905 -0.557 -1.007
H 0.316 -2.126 0.577
```

---

This record from the Materials Project database describes a relaxed structure of Si3H. The functional is PBE-GGA.

Computed properties:
volume: 73.0 Å³/f.u.
energy above the most stable polymorph in this dataset: 0.000 eV/atom
calculated total energy: -4.882 eV per atom
formation energy: -0.0091 eV/atom
SG: P-3m1 (164)

```
8
Lattice="-1.315 0.903 3.517 -2.317 0.332 -3.072 -3.448 -10.666 1.449" Properties=species:S:1:pos:R:3 pbc="T T T"
Si -3.827 -5.183 -0.100
Si -3.252 -4.247 1.995
Si -4.557 -7.441 0.206
Si -2.522 -1.989 1.688
Si -4.458 -7.977 2.501
Si -2.622 -1.454 -0.607
H -4.915 -9.391 2.693
H -2.165 -0.040 -0.799
```

---

This record from the Materials Project database describes a relaxed structure of CaScAlSiO6. The functional is PBE-GGA.

Computed properties:
volume: 120.7 Å³/f.u.
calculated total energy: -7.893 eV per atom
formation energy: -3.5854 eV/atom
SG: P2_1/c (14)

```
40
Lattice="9.084 0.000 0.000 0.000 5.512 0.000 0.000 2.744 9.639" Properties=species:S:1:pos:R:3 pbc="T T T"
Ca 7.363 6.878 9.610
Ca 2.821 2.751 4.849
Ca 6.263 5.506 4.790
Ca 1.721 1.379 0.029
Sc 8.198 2.802 4.798
Sc 3.656 4.082 0.022
Sc 5.428 4.174 9.617
Sc 0.886 5.454 4.842
Al 5.361 3.243 2.781
Al 8.265 4.615 7.601
Al 0.819 3.641 2.039
Al 3.723 5.013 6.859
Si 5.385 2.268 6.816
Si 0.843 7.361 7.643
Si 8.241 0.895 1.996
Si 3.699 5.989 2.824
O 8.941 3.071 8.201
O 4.310 4.568 3.422
O 6.865 3.596 3.574
O 5.369 3.241 1.024
O 5.375 7.831 8.470
O 2.290 7.681 8.321
O 8.852 2.316 1.398
O 6.832 1.947 6.138
O 0.833 1.797 5.990
O 6.761 4.968 8.394
O 4.685 1.699 3.381
O 0.827 3.643 3.796
O 8.257 4.613 5.843
O 4.399 6.557 6.258
O 2.323 3.288 1.245
O 8.251 6.459 3.650
O 2.252 6.309 3.502
O 0.232 5.940 8.241
O 6.794 0.575 1.318
O 3.709 0.425 1.170
O 3.715 5.015 8.616
O 2.219 4.660 6.065
O 4.773 3.688 6.218
O 0.143 5.185 1.438
```

---

This record from the Materials Project database describes a relaxed structure of K2GeSe4. The functional is PBE-GGA.

Computed properties:
volume: 228.6 Å³/f.u.
calculated total energy: -3.728 eV per atom
formation energy: -1.0225 eV/atom
SG: P2_1/c (14)

```
28
Lattice="-5.756 6.128 1.050 -5.813 -6.094 3.704 2.210 0.016 12.022" Properties=species:S:1:pos:R:3 pbc="T T T"
K -4.187 -3.677 4.552
K -0.744 -0.925 6.390
K -3.684 1.867 8.165
K -8.614 0.975 10.387
K -6.218 -1.301 13.737
K -5.675 -1.817 8.611
K -5.172 3.727 12.224
K -3.141 1.351 3.040
Ge -6.305 0.547 5.605
Ge -4.627 -4.963 12.780
Ge -3.054 -0.497 11.171
Ge -4.732 5.014 3.996
Se -7.587 -1.527 5.231
Se -2.788 -1.554 13.399
Se -9.901 -0.991 5.307
Se -6.571 1.605 3.377
Se -5.667 -5.144 7.321
Se -5.128 0.582 11.039
Se -3.691 5.194 9.455
Se -4.230 -0.532 5.737
Se -2.427 -3.866 12.987
Se -1.771 1.577 11.545
Se -6.931 3.916 3.790
Se -7.064 1.839 7.354
Se -6.132 -3.844 11.445
Se -2.295 -1.789 9.423
Se -3.226 3.895 5.332
Se 0.542 1.042 11.470
```

---

This record from the Materials Project database describes a relaxed structure of Mg2TiCo3S8. The functional is PBE-GGA.

Computed properties:
volume: 246.8 Å³/f.u.
calculated total energy: -5.447 eV per atom
formation energy: -1.0547 eV/atom
SG: R-3m (166)

```
14
Lattice="-5.509 -0.104 -4.451 -6.422 -1.498 2.348 -4.949 5.052 0.372" Properties=species:S:1:pos:R:3 pbc="T T T"
Mg -14.768 3.021 -1.518
Mg -2.113 0.429 -0.213
Ti -11.651 0.976 0.308
Co -8.440 1.725 -0.866
Co -10.915 4.251 -0.680
Co -5.686 1.777 1.360
S -12.385 2.605 -1.350
S -6.715 3.110 -0.215
S -7.264 0.292 0.531
S -6.967 0.798 -2.378
S -9.616 3.158 -2.262
S -9.914 2.652 0.647
S -4.496 0.845 -0.381
S -10.165 0.339 -1.517
```